# V4ZnO9 PBE+U optimized geometry
# M_tot (Bohr magnetons per cell): 8.00
# Energy of formation from the pure elements (eV per atom): -2.275
data_V4ZnO9
_cell_length_a 8.337
_cell_length_b 8.337
_cell_length_c 4.990
_cell_angle_alpha 90.00
_cell_angle_beta 90.00
_cell_angle_gamma 90.00
_symmetry_space_group_name_H-M 'P 4/n'
_symmetry_Int_Tables_number 85
loop_
_symmetry_equiv_pos_as_xyz
'x,y,z'
'-x,-y,-z'
'-y+1/2,x,z'
'y+1/2,-x,-z'
'-x+1/2,-y+1/2,z'
'x+1/2,y+1/2,-z'
'y,-x+1/2,z'
'-y,x+1/2,-z'
loop_
_atom_site_label
_atom_site_type_symbol
_atom_site_fract_x
_atom_site_fract_y
_atom_site_fract_z
V1 V 0.032 0.840 0.130
Zn1 Zn 0.250 0.250 0.359
O1 O 0.020 0.186 0.551
O2 O 0.045 0.357 0.050
O3 O 0.250 0.750 0.000


# V3Zn2O8 PBE+U optimized geometry
# M_tot (Bohr magnetons per cell): 6.00
# Energy of formation from the pure elements (eV per atom): -2.245
# Distance to the lowest polymorph of the same formula (meV per atom): 0
data_V3Zn2O8
_cell_length_a 5.9128
_cell_length_b 5.9128
_cell_length_c 9.5415
_cell_angle_alpha 90.00
_cell_angle_beta 90.00
_cell_angle_gamma 120.00
_symmetry_space_group_name_H-M 'P 3 1 c'
_symmetry_Int_Tables_number 159
loop_
_symmetry_equiv_pos_as_xyz
'x,y,z'
'-y,x-y,z'
'-x+y,-x,z'
'y,x,z+1/2'
'x-y,-y,z+1/2'
'-x,-x+y,z+1/2'
loop_
_atom_site_label
_atom_site_type_symbol
_atom_site_fract_x
_atom_site_fract_y
_atom_site_fract_z
V1 V 0.1618 0.3243 0.0000
Zn1 Zn 0.3333 0.6667 0.2830
Zn2 Zn 0.3333 0.6667 0.6798
O1 O 0.0000 0.0000 0.1104
O2 O 0.0344 0.5191 0.1190
O3 O 0.1594 0.3263 0.4030
O4 O 0.3333 0.6667 0.8898


# VZnO2 PBE+U optimized geometry
# M_tot (Bohr magnetons per cell): 6.21
# Energy of formation from the pure elements (eV per atom): -1.850
data_VZnO2
_cell_length_a 2.929
_cell_length_b 7.731
_cell_length_c 9.549
_cell_angle_alpha 94.43
_cell_angle_beta 90.99
_cell_angle_gamma 98.72
_symmetry_space_group_name_H-M 'P 1'
_symmetry_Int_Tables_number 1
loop_
_symmetry_equiv_pos_as_xyz
'x,y,z'
loop_
_atom_site_label
_atom_site_type_symbol
_atom_site_fract_x
_atom_site_fract_y
_atom_site_fract_z
V1 V 0.000 0.000 0.000
V2 V 0.023 0.078 0.442
V3 V 0.357 0.721 0.231
V4 V 0.666 0.362 0.217
Zn1 Zn 0.052 0.423 0.906
Zn2 Zn 0.492 0.872 0.668
Zn3 Zn 0.506 0.383 0.681
Zn4 Zn 0.927 0.620 0.550
O1 O 0.120 0.260 0.334
O2 O 0.213 0.480 0.111
O3 O 0.460 0.936 0.361
O4 O 0.477 0.948 0.869
O5 O 0.542 0.136 0.579
O6 O 0.569 0.155 0.074
O7 O 0.810 0.604 0.334
O8 O 0.903 0.819 0.108


# VZnO2 PBE+U optimized geometry
# M_tot (Bohr magnetons per cell): 8.00
# Energy of formation from the pure elements (eV per atom): -1.855
data_VZnO2
_cell_length_a 3.056
_cell_length_b 7.630
_cell_length_c 8.455
_cell_angle_alpha 88.18
_cell_angle_beta 79.81
_cell_angle_gamma 78.51
_symmetry_space_group_name_H-M 'P 1'
_symmetry_Int_Tables_number 1
loop_
_symmetry_equiv_pos_as_xyz
'x,y,z'
loop_
_atom_site_label
_atom_site_type_symbol
_atom_site_fract_x
_atom_site_fract_y
_atom_site_fract_z
V1 V 0.000 0.000 0.000
V2 V 0.170 0.305 0.337
V3 V 0.490 0.701 0.300
V4 V 0.679 0.004 0.632
Zn1 Zn 0.330 0.396 0.024
Zn2 Zn 0.403 0.606 0.611
Zn3 Zn 0.788 0.630 0.908
Zn4 Zn 0.961 0.376 0.735
O1 O 0.053 0.128 0.764
O2 O 0.302 0.857 0.531
O3 O 0.377 0.146 0.101
O4 O 0.628 0.875 0.869
O5 O 0.665 0.194 0.459
O6 O 0.666 0.444 0.209
O7 O 0.997 0.561 0.431
O8 O 0.998 0.807 0.174


# V5ZnO7 PBE+U optimized geometry
# M_tot (Bohr magnetons per cell): 0.42
# Energy of formation from the pure elements (eV per atom): -1.463
data_V5ZnO7
_cell_length_a 2.960
_cell_length_b 10.223
_cell_length_c 18.488
_cell_angle_alpha 90.00
_cell_angle_beta 90.00
_cell_angle_gamma 90.00
_symmetry_space_group_name_H-M 'C m c m'
_symmetry_Int_Tables_number 63
_symmetry_space_group_name_Hall '-C 2c 2'
loop_
_atom_site_label
_atom_site_type_symbol
_atom_site_fract_x
_atom_site_fract_y
_atom_site_fract_z
V1 V 0.000 0.000 0.000
V2 V 0.000 0.273 0.078
V3 V 0.000 0.463 0.656
Zn1 Zn 0.000 0.209 0.750
O1 O 0.000 0.083 0.605
O2 O 0.000 0.173 0.175
O3 O 0.000 0.362 0.536
O4 O 0.000 0.429 0.250


# VZnO2 PBE+U optimized geometry
# M_tot (Bohr magnetons per cell): 8.00
# Energy of formation from the pure elements (eV per atom): -1.773
data_VZnO2
_cell_length_a 3.031
_cell_length_b 8.746
_cell_length_c 9.867
_cell_angle_alpha 112.59
_cell_angle_beta 95.01
_cell_angle_gamma 99.03
_symmetry_space_group_name_H-M 'P 1'
_symmetry_Int_Tables_number 1
loop_
_symmetry_equiv_pos_as_xyz
'x,y,z'
loop_
_atom_site_label
_atom_site_type_symbol
_atom_site_fract_x
_atom_site_fract_y
_atom_site_fract_z
V1 V 0.000 0.000 0.000
V2 V 0.199 0.581 0.847
V3 V 0.481 0.273 0.601
V4 V 0.698 0.855 0.450
Zn1 Zn 0.038 0.086 0.287
Zn2 Zn 0.083 0.539 0.529
Zn3 Zn 0.604 0.316 0.920
Zn4 Zn 0.627 0.768 0.162
O1 O 0.040 0.310 0.761
O2 O 0.142 0.715 0.466
O3 O 0.284 0.028 0.492
O4 O 0.378 0.825 0.956
O5 O 0.558 0.136 0.977
O6 O 0.635 0.544 0.686
O7 O 0.724 0.563 0.981
O8 O 0.957 0.292 0.468


# VZnO2 PBE+U optimized geometry
# M_tot (Bohr magnetons per cell): 6.00
# Energy of formation from the pure elements (eV per atom): -1.839
data_VZnO2
_cell_length_a 2.950
_cell_length_b 7.754
_cell_length_c 9.457
_cell_angle_alpha 90.59
_cell_angle_beta 90.97
_cell_angle_gamma 100.72
_symmetry_space_group_name_H-M 'P 1'
_symmetry_Int_Tables_number 1
loop_
_symmetry_equiv_pos_as_xyz
'x,y,z'
loop_
_atom_site_label
_atom_site_type_symbol
_atom_site_fract_x
_atom_site_fract_y
_atom_site_fract_z
V1 V 0.000 0.000 0.000
V2 V 0.038 0.969 0.446
V3 V 0.360 0.662 0.211
V4 V 0.680 0.307 0.236
Zn1 Zn 0.201 0.432 0.556
Zn2 Zn 0.435 0.720 0.711
Zn3 Zn 0.605 0.261 0.745
Zn4 Zn 0.852 0.544 0.893
O1 O 0.109 0.185 0.118
O2 O 0.250 0.440 0.337
O3 O 0.432 0.851 0.067
O4 O 0.515 0.051 0.870
O5 O 0.522 0.918 0.575
O6 O 0.606 0.119 0.380
O7 O 0.790 0.530 0.110
O8 O 0.930 0.784 0.328


# VZnO2 PBE+U optimized geometry
# M_tot (Bohr magnetons per cell): 8.00
# Energy of formation from the pure elements (eV per atom): -1.752
data_VZnO2
_cell_length_a 14.962
_cell_length_b 3.061
_cell_length_c 10.883
_cell_angle_alpha 90.00
_cell_angle_beta 132.14
_cell_angle_gamma 90.00
_symmetry_space_group_name_H-M 'C 1 2 1'
_symmetry_Int_Tables_number 5
loop_
_symmetry_equiv_pos_as_xyz
'x,y,z'
'-x,y,-z'
'x+1/2,y+1/2,z'
'-x+1/2,y+1/2,-z'
loop_
_atom_site_label
_atom_site_type_symbol
_atom_site_fract_x
_atom_site_fract_y
_atom_site_fract_z
V1 V 0.149 0.000 0.317
V2 V 0.151 0.506 0.992
Zn1 Zn 0.007 0.470 0.625
Zn2 Zn 0.157 0.972 0.661
O1 O 0.030 0.006 0.840
O2 O 0.158 0.502 0.458
O3 O 0.170 0.499 0.210
O4 O 0.227 0.506 0.884


# V3ZnO8 PBE+U optimized geometry
# M_tot (Bohr magnetons per cell): 8.01
# Energy of formation from the pure elements (eV per atom): -2.276
data_V3ZnO8
_cell_length_a 9.983
_cell_length_b 14.531
_cell_length_c 8.617
_cell_angle_alpha 90.00
_cell_angle_beta 90.00
_cell_angle_gamma 90.00
_symmetry_space_group_name_H-M 'I b a 2'
_symmetry_Int_Tables_number 45
loop_
_symmetry_equiv_pos_as_xyz
'x,y,z'
'-x,-y,z'
'-x,y,z+1/2'
'x,-y,z+1/2'
'x+1/2,y+1/2,z+1/2'
'-x+1/2,-y+1/2,z+1/2'
'-x+1/2,y+1/2,z'
'x+1/2,-y+1/2,z'
loop_
_atom_site_label
_atom_site_type_symbol
_atom_site_fract_x
_atom_site_fract_y
_atom_site_fract_z
V1 V 0.058 0.202 0.000
V2 V 0.161 0.349 0.311
V3 V 0.167 0.022 0.506
Zn1 Zn 0.171 0.345 0.695
O1 O 0.011 0.389 0.258
O2 O 0.018 0.079 0.011
O3 O 0.085 0.267 0.489
O4 O 0.147 0.237 0.162
O5 O 0.154 0.226 0.838
O6 O 0.218 0.080 0.351
O7 O 0.225 0.418 0.495
O8 O 0.227 0.076 0.667


# VZnO3 PBE+U optimized geometry
# M_tot (Bohr magnetons per cell): 0.85
# Energy of formation from the pure elements (eV per atom): -1.680
data_VZnO3
_cell_length_a 3.780
_cell_length_b 3.780
_cell_length_c 3.780
_cell_angle_alpha 90.00
_cell_angle_beta 90.00
_cell_angle_gamma 90.00
_symmetry_space_group_name_H-M 'P m -3 m'
_symmetry_Int_Tables_number 221
_symmetry_space_group_name_Hall '-P 4 2 3'
loop_
_atom_site_label
_atom_site_type_symbol
_atom_site_fract_x
_atom_site_fract_y
_atom_site_fract_z
V1 V 0.000 0.000 0.000
Zn1 Zn 0.500 0.500 0.500
O1 O 0.000 0.000 0.500


# V3Zn2O8 PBE+U optimized geometry
# M_tot (Bohr magnetons per cell): 2.00
# Energy of formation from the pure elements (eV per atom): -2.235
# Distance to the lowest polymorph of the same formula (meV per atom): 10
data_V3Zn2O8
_cell_length_a 10.045
_cell_length_b 5.948
_cell_length_c 4.996
_cell_angle_alpha 90.00
_cell_angle_beta 102.47
_cell_angle_gamma 90.00
_symmetry_space_group_name_H-M 'C 1 2/m 1'
_symmetry_Int_Tables_number 12
loop_
_symmetry_equiv_pos_as_xyz
'x,y,z'
'-x,-y,-z'
'-x,y,-z'
'x,-y,z'
'x+1/2,y+1/2,z'
'-x+1/2,-y+1/2,-z'
'-x+1/2,y+1/2,-z'
'x+1/2,-y+1/2,z'
loop_
_atom_site_label
_atom_site_type_symbol
_atom_site_fract_x
_atom_site_fract_y
_atom_site_fract_z
V1 V 0.000 0.000 0.000
V2 V 0.000 0.263 0.500
Zn1 Zn 0.210 0.500 0.096
O1 O 0.100 0.000 0.358
O2 O 0.104 0.500 0.387
O3 O 0.119 0.227 0.858


# V4ZnO6 PBE+U optimized geometry
# M_tot (Bohr magnetons per cell): 2.16
# Energy of formation from the pure elements (eV per atom): -2.137
data_V4ZnO6
_cell_length_a 2.955
_cell_length_b 10.124
_cell_length_c 15.734
_cell_angle_alpha 90.00
_cell_angle_beta 90.00
_cell_angle_gamma 90.00
_symmetry_space_group_name_H-M 'C m c m'
_symmetry_Int_Tables_number 63
_symmetry_space_group_name_Hall '-C 2c 2'
loop_
_atom_site_label
_atom_site_type_symbol
_atom_site_fract_x
_atom_site_fract_y
_atom_site_fract_z
V1 V 0.000 0.103 0.138
V2 V 0.000 0.365 0.047
Zn1 Zn 0.000 0.151 0.750
O1 O 0.000 0.000 0.000
O2 O 0.000 0.210 0.250
O3 O 0.000 0.277 0.579
O4 O 0.000 0.466 0.162


# Zr11VO24 PBE+U optimized geometry
# M_tot (Bohr magnetons per cell): 1.00
# Energy of formation from the pure elements (eV per atom): -3.682
# Distance to the lowest polymorph of the same formula (meV per atom): 0
data_Zr11VO24
_cell_length_a 6.827
_cell_length_b 7.378
_cell_length_c 9.646
_cell_angle_alpha 93.16
_cell_angle_beta 91.65
_cell_angle_gamma 116.08
_symmetry_space_group_name_H-M 'P 1'
_symmetry_Int_Tables_number 1
loop_
_symmetry_equiv_pos_as_xyz
'x,y,z'
loop_
_atom_site_label
_atom_site_type_symbol
_atom_site_fract_x
_atom_site_fract_y
_atom_site_fract_z
Zr1 Zr 0.000 0.000 0.000
Zr2 Zr 0.032 0.546 0.957
Zr3 Zr 0.135 0.776 0.645
Zr4 Zr 0.169 0.318 0.594
Zr5 Zr 0.327 0.665 0.335
Zr6 Zr 0.364 0.209 0.288
Zr7 Zr 0.470 0.434 0.973
Zr8 Zr 0.660 0.329 0.671
Zr9 Zr 0.696 0.875 0.625
Zr10 Zr 0.796 0.107 0.304
Zr11 Zr 0.837 0.653 0.263
V1 V 0.516 0.974 0.929
O1 O 0.027 0.476 0.724
O2 O 0.027 0.989 0.224
O3 O 0.051 0.012 0.617
O4 O 0.057 0.698 0.430
O5 O 0.108 0.622 0.168
O6 O 0.119 0.310 0.985
O7 O 0.131 0.329 0.369
O8 O 0.137 0.841 0.874
O9 O 0.366 0.138 0.054
O10 O 0.366 0.655 0.561
O11 O 0.392 0.368 0.763
O12 O 0.392 0.693 0.944
O13 O 0.439 0.286 0.502
O14 O 0.445 0.973 0.318
O15 O 0.468 0.996 0.713
O16 O 0.471 0.507 0.206
O17 O 0.693 0.810 0.389
O18 O 0.700 0.319 0.896
O19 O 0.714 0.033 0.089
O20 O 0.719 0.346 0.280
O21 O 0.766 0.956 0.839
O22 O 0.779 0.640 0.654
O23 O 0.799 0.665 0.035
O24 O 0.801 0.172 0.540


# ZrV2O7 PBE+U optimized geometry
# Energy of formation from the pure elements (eV per atom): -2.817
data_ZrV2O7
_cell_length_a 9.057
_cell_length_b 9.057
_cell_length_c 9.057
_cell_angle_alpha 90.00
_cell_angle_beta 90.00
_cell_angle_gamma 90.00
_symmetry_space_group_name_H-M 'P a -3'
_symmetry_Int_Tables_number 205
_symmetry_space_group_name_Hall '-P 2ac 2ab 3'
loop_
_atom_site_label
_atom_site_type_symbol
_atom_site_fract_x
_atom_site_fract_y
_atom_site_fract_z
Zr1 Zr 0.000 0.000 0.000
V1 V 0.114 0.614 0.886
O1 O 0.000 0.000 0.500
O2 O 0.063 0.704 0.409


no.,ρ (Mg/m³)
1,4.0
2,4.7
3,4.6
4,5.2
5,5.1
6,4.2
7,4.6
8,5.3
9,3.7
10,5.1
11,4.7
12,5.2
13,5.5
14,2.7